# 1
Material: Na10Mg2Si7Sn6S5O48
Method: DFT, PBE
State: optimized geometry Values from VASP.

```
&SYSTEM
  ibrav = 0, nat = 234, ntyp = 6
/
ATOMIC_SPECIES
S 32.06 S.upf
Si 28.09 Si.upf
O 16.00 O.upf
Na 22.99 Na.upf
Sn 118.71 Sn.upf
Mg 24.30 Mg.upf
ATOMIC_POSITIONS crystal
S 0.836 0.042 0.084
Si 0.312 0.954 0.416
O 0.339 0.511 0.247
O 0.224 0.159 0.528
O 0.322 0.143 0.426
Na 0.504 0.016 0.000
Na 0.015 0.691 0.584
Sn 0.659 0.660 0.015
O 0.768 0.887 0.361
O 0.922 0.494 0.418
O 0.535 0.852 0.696
Si 0.503 0.709 0.751
O 0.011 0.843 0.411
O 0.261 0.861 0.082
O 0.735 0.342 0.140
Si 0.523 0.667 0.422
Na 0.319 0.625 0.749
O 0.258 0.818 0.756
O 0.059 0.645 0.352
O 0.607 0.052 0.305
Sn 0.163 0.669 0.515
Na 0.993 0.672 0.922
O 0.906 0.835 0.910
Si 0.810 0.667 0.918
S 0.686 0.333 0.087
O 0.344 0.164 0.746
S 0.830 0.624 0.586
O 0.756 0.823 0.753
O 0.581 0.944 0.192
O 0.579 0.447 0.973
O 0.273 0.824 0.473
O 0.560 0.485 0.854
O 0.411 0.787 0.310
O 0.419 0.036 0.805
Na 0.832 0.340 0.332
O 0.422 0.307 0.243
O 0.113 0.034 0.303
Si 0.186 0.036 0.588
O 0.009 0.811 0.695
Si 0.169 0.965 0.918
O 0.067 0.653 0.084
Si 0.665 0.964 0.917
S 0.183 0.327 0.086
O 0.821 0.132 0.421
O 0.577 0.188 0.411
O 0.425 0.489 0.426
O 0.983 0.169 0.307
O 0.725 0.303 0.032
O 0.101 0.157 0.802
O 0.149 0.484 0.759
O 0.918 0.311 0.241
Sn 0.995 0.998 0.354
Na 0.014 0.022 0.995
Mg 0.163 0.672 0.016
O 0.488 0.193 0.305
O 0.083 0.174 0.412
O 0.082 0.469 0.977
Na 0.488 0.665 0.919
Na 0.173 0.680 0.664
O 0.087 0.489 0.255
Na 0.691 0.359 0.257
Sn 0.832 0.338 0.981
O 0.425 0.533 0.022
O 0.401 0.817 0.917
O 0.943 0.373 0.643
Na 0.516 0.010 0.495
O 0.892 0.844 0.192
O 0.153 0.453 0.480
O 0.759 0.869 0.081
S 0.148 0.001 0.247
O 0.433 0.304 0.531
O 0.921 0.532 0.745
Sn 0.998 0.008 0.149
O 0.931 0.559 0.031
O 0.233 0.153 0.238
O 0.988 0.784 0.805
O 0.324 0.126 0.137
O 0.255 0.686 0.255
O 0.895 0.961 0.692
O 0.767 0.855 0.471
O 0.391 0.823 0.193
Sn 0.834 0.339 0.478
O 0.243 0.332 0.745
O 0.227 0.307 0.032
S 0.484 0.328 0.587
O 0.392 0.944 0.692
O 0.919 0.795 0.305
Sn 0.003 0.014 0.856
O 0.612 0.185 0.801
Na 0.187 0.375 0.246
O 0.652 0.462 0.753
Na 0.818 0.012 0.248
Si 0.024 0.380 0.922
O 0.085 0.001 0.590
O 0.771 0.718 0.976
O 0.684 0.495 0.081
Mg 0.331 0.324 0.690
Si 0.978 0.333 0.583
Mg 0.339 0.349 0.181
Si 0.016 0.666 0.413
S 0.812 0.960 0.420
O 0.323 0.510 0.922
O 0.844 0.548 0.530
S 0.312 0.663 0.920
O 0.577 0.975 0.911
Na 0.687 0.998 0.747
Si 0.350 0.703 0.252
O 0.088 0.231 0.689
O 0.186 0.488 0.360
O 0.089 0.966 0.196
Sn 0.499 0.992 0.650
O 0.991 0.165 0.581
O 0.649 0.817 0.259
O 0.077 0.693 0.751
Na 0.491 0.373 0.756
O 0.228 0.330 0.141
O 0.591 0.218 0.694
Na 0.148 0.327 0.579
O 0.418 0.035 0.089
O 0.914 0.792 0.589
O 0.911 0.035 0.810
S 0.339 0.633 0.584
O 0.580 0.647 0.080
Na 0.991 0.612 0.257
O 0.689 0.897 0.856
O 0.578 0.459 0.250
Si 0.668 0.372 0.417
O 0.035 0.223 0.194
Sn 0.331 0.325 0.482
O 0.268 0.680 0.971
Si 0.165 0.368 0.419
O 0.175 0.844 0.579
O 0.751 0.623 0.859
O 0.926 0.360 0.925
O 0.095 0.162 0.084
O 0.174 0.478 0.082
O 0.934 0.534 0.139
Na 0.661 0.673 0.163
Na 0.677 0.683 0.664
O 0.078 0.968 0.911
Sn 0.499 0.002 0.853
O 0.991 0.813 0.089
S 0.649 0.296 0.747
O 0.258 0.641 0.582
Mg 0.662 0.653 0.516
Si 0.353 0.996 0.750
O 0.674 0.869 0.582
Na 0.995 0.354 0.745
Na 0.494 0.316 0.422
Sn 0.504 0.992 0.355
O 0.185 0.894 0.853
Na 0.849 0.031 0.913
S 0.335 0.037 0.087
O 0.268 0.647 0.861
O 0.237 0.127 0.647
O 0.512 0.198 0.197
Sn 0.494 0.967 0.146
S 0.996 0.705 0.749
O 0.250 0.163 0.923
O 0.569 0.481 0.583
O 0.501 0.822 0.415
O 0.840 0.165 0.745
Sn 0.168 0.663 0.317
Sn 0.670 0.677 0.817
O 0.917 0.030 0.082
O 0.827 0.507 0.926
O 0.347 0.554 0.527
Sn 0.666 0.663 0.319
Na 0.193 0.025 0.749
Sn 0.167 0.671 0.820
Na 0.164 0.023 0.421
O 0.588 0.685 0.755
Na 0.180 0.674 0.164
O 0.492 0.168 0.588
Mg 0.837 0.327 0.682
O 0.152 0.840 0.972
S 0.982 0.636 0.087
O 0.408 0.982 0.408
O 0.485 0.791 0.811
O 0.749 0.334 0.422
O 0.003 0.182 0.915
Sn 0.999 0.019 0.647
Na 0.495 0.635 0.242
O 0.555 0.620 0.358
O 0.056 0.491 0.858
O 0.652 0.465 0.471
O 0.741 0.156 0.241
Sn 0.336 0.322 0.982
Na 0.348 0.665 0.413
S 0.683 0.038 0.586
O 0.918 0.311 0.525
O 0.506 0.174 0.911
O 0.152 0.842 0.251
Na 0.326 0.310 0.831
O 0.438 0.337 0.640
O 0.427 0.364 0.919
Si 0.483 0.628 0.083
O 0.832 0.131 0.137
O 0.417 0.810 0.583
O 0.596 0.184 0.089
O 0.594 0.024 0.585
O 0.345 0.132 0.029
O 0.841 0.523 0.242
Si 0.147 0.300 0.750
O 0.335 0.536 0.636
Si 0.851 0.997 0.751
Na 0.337 0.341 0.332
O 0.419 0.527 0.740
O 0.734 0.314 0.739
O 0.899 0.978 0.417
O 0.725 0.144 0.532
Na 0.993 0.004 0.499
O 0.493 0.822 0.078
O 0.728 0.126 0.640
O 0.752 0.149 0.926
O 0.077 0.711 0.472
Si 0.852 0.710 0.249
O 0.581 0.696 0.477
O 0.252 0.353 0.422
O 0.077 0.502 0.577
O 0.442 0.534 0.145
O 0.684 0.477 0.352
O 0.757 0.654 0.580
Si 0.646 0.996 0.250
Mg 0.834 0.334 0.190
O 0.758 0.699 0.256
Si 0.003 0.296 0.250
Na 0.830 0.333 0.834
S 0.497 0.284 0.248
Si 0.519 0.366 0.914
O 0.842 0.139 0.028
O 0.819 0.517 0.638
O 0.245 0.882 0.360
O 0.641 0.831 0.971
CELL_PARAMETERS angstrom
18.007 -0.050 0.053
-4.523 7.836 -0.009
0.069 0.014 22.512
```

Computed properties:
The total magnetization is 0.0 μB/f.u. The raw total energy comes out at -6.29 eV per atom. For the calculated volume, the calculation gives 13.553 Å³ per atom. The formation energy comes out at -187.2 eV/f.u.

***

# 2
Material: Na4MgSi2SnSO12
Method: DFT, PBE
State: optimized geometry Values from VASP.

```
&SYSTEM
  ibrav = 0, nat = 126, ntyp = 6
/
ATOMIC_SPECIES
Sn 118.71 Sn.upf
S 32.06 S.upf
O 16.00 O.upf
Na 22.99 Na.upf
Si 28.09 Si.upf
Mg 24.30 Mg.upf
ATOMIC_POSITIONS crystal
Sn 0.652 0.339 0.984
S 0.669 0.042 0.084
O 0.872 0.509 0.143
O 0.303 0.842 0.977
O 0.016 0.837 0.412
Na 0.381 0.019 0.755
Si 0.967 0.337 0.587
Na 0.006 0.989 0.996
S 0.002 0.708 0.751
O 0.628 0.147 0.422
O 0.145 0.459 0.971
O 0.821 0.837 0.912
O 0.849 0.539 0.745
Sn 0.985 0.006 0.651
O 0.511 0.618 0.859
Si 0.634 0.670 0.920
Na 0.047 0.352 0.088
O 0.023 0.206 0.911
Na 0.628 0.625 0.743
Na 0.664 0.959 0.577
Na 0.714 0.685 0.421
O 0.107 0.618 0.359
O 0.440 0.285 0.025
S 0.335 0.375 0.418
O 0.773 0.951 0.692
S 0.706 0.708 0.251
Na 0.331 0.292 0.910
O 0.844 0.544 0.024
O 0.178 0.210 0.690
O 0.647 0.125 0.137
Mg 0.001 0.003 0.851
O 0.350 0.503 0.079
Sn 0.319 0.673 0.317
Si 0.665 0.626 0.587
O 0.652 0.495 0.919
O 0.699 0.544 0.524
O 0.487 0.355 0.422
O 0.534 0.688 0.255
O 0.543 0.696 0.977
O 0.357 0.872 0.578
O 0.840 0.323 0.246
Na 0.972 0.685 0.921
Mg 0.667 0.336 0.185
Si 0.961 0.626 0.087
O 0.780 0.815 0.196
Na 0.997 0.625 0.243
Na 0.983 0.989 0.496
Sn 0.021 0.006 0.151
O 0.153 0.696 0.477
O 0.820 0.029 0.810
Na 0.316 0.656 0.162
O 0.980 0.792 0.804
Si 0.628 0.959 0.420
O 0.817 0.990 0.413
O 0.173 0.990 0.913
Na 0.322 0.018 0.411
Si 0.294 0.293 0.754
Mg 0.335 0.669 0.018
Na 0.295 0.959 0.077
O 0.314 0.459 0.471
O 0.294 0.480 0.755
O 0.845 0.285 0.525
Na 0.695 0.018 0.911
O 0.478 0.125 0.637
O 0.511 0.877 0.357
Si 0.999 0.293 0.254
Si 0.036 0.670 0.420
O 0.636 0.509 0.643
Mg 0.669 0.336 0.685
S 0.040 0.375 0.918
O 0.985 0.161 0.586
Na 0.656 0.685 0.078
Na 0.961 0.292 0.410
O 0.154 0.503 0.579
Si 0.301 0.004 0.253
Sn 0.687 0.339 0.484
Sn 0.354 0.673 0.817
O 0.683 0.170 0.745
Mg 0.002 0.003 0.351
O 0.853 0.814 0.589
O 0.507 0.656 0.579
O 0.366 0.877 0.857
Na 0.029 0.685 0.578
O 0.033 0.210 0.190
O 0.176 0.161 0.086
S 0.373 0.042 0.584
O 0.113 0.482 0.862
O 0.486 0.362 0.144
O 0.369 0.482 0.362
O 0.201 0.021 0.589
O 0.539 0.842 0.477
O 0.447 0.149 0.529
O 0.843 0.495 0.419
O 0.876 0.362 0.644
O 0.820 0.021 0.089
O 0.516 0.872 0.078
Na 0.989 0.351 0.744
O 0.690 0.539 0.245
O 0.702 0.149 0.029
Si 0.370 0.337 0.087
O 0.035 0.815 0.696
Na 0.673 0.322 0.329
Na 0.650 0.322 0.829
O 0.868 0.355 0.922
Na 0.362 0.351 0.244
O 0.206 0.176 0.810
O 0.961 0.814 0.089
Si 0.703 0.004 0.753
Na 0.638 0.019 0.255
Si 0.332 0.959 0.920
Na 0.305 0.352 0.588
O 0.150 0.656 0.079
O 0.178 0.951 0.192
O 0.487 0.170 0.245
O 0.509 0.828 0.753
Na 0.340 0.656 0.662
O 0.319 0.828 0.253
O 0.182 0.206 0.411
O 0.519 0.147 0.922
Mg 0.334 0.669 0.518
O 0.812 0.792 0.304
O 0.209 0.029 0.310
O 0.186 0.480 0.255
O 0.154 0.688 0.755
O 0.483 0.323 0.746
O 0.970 0.176 0.310
CELL_PARAMETERS angstrom
9.186 0.000 0.000
-4.593 7.850 -0.062
0.000 -0.184 22.371
```

Computed properties:
The total magnetization is 0.0 μB/f.u. The raw total energy comes out at -6.15 eV per atom. For the calculated volume, the calculation gives 12.802 Å³ per atom. The formation energy comes out at -52.2 eV/f.u.